No. 1
Material: Li8MnFe7B8O24
Method: DFT, PBE with a Hubbard U
State: relaxed

Properties
- total DFT energy (no corrections) (eV per cell) = -334.7
- polymorph energy (0 for the lowest one) (kJ/mol of atoms) = 0.4
- M_tot (μB per atom) = 0.688
- SG = P1
- formation energy (kJ/mol of formula units) = -10882

The structure in POSCAR format:
```
Li8MnFe7B8O24
1.0
6.012 0.000 0.000
-1.825 -7.983 0.000
-0.138 0.014 -10.460
O Fe Mn Li B
24 7 1 8 8
Cartesian
-0.614 -7.051 -5.703
4.667 -0.914 -4.761
2.097 -7.781 -6.759
1.880 -0.167 -8.924
2.292 -2.453 -6.204
2.168 -7.811 -1.556
4.063 -4.162 -1.080
2.344 -2.468 -0.971
-0.285 -1.513 -1.641
-0.544 -7.067 -0.473
3.329 -3.056 -3.088
4.009 -4.151 -6.293
3.287 -3.056 -8.313
1.717 -5.498 -9.507
-0.360 -1.472 -6.891
0.713 -4.959 -7.383
1.933 -0.182 -3.698
4.332 -6.464 -8.816
1.764 -5.500 -4.232
4.587 -0.901 -9.998
0.783 -4.920 -2.108
0.022 -3.834 -4.119
4.405 -6.463 -3.595
-0.021 -3.816 -9.375
1.669 -0.589 -6.954
3.783 -4.610 -4.294
2.320 -7.356 -8.717
2.398 -7.369 -3.523
1.735 -0.604 -1.733
3.722 -4.614 -9.600
0.339 -3.350 -0.918
0.268 -3.341 -6.128
1.238 -6.206 -6.010
2.746 -1.750 -9.667
2.815 -1.749 -4.448
5.191 -2.239 -3.397
1.309 -6.236 -0.783
-1.143 -5.736 -7.062
5.126 -2.223 -8.650
-1.068 -5.743 -1.823
-0.781 -7.233 -9.560
4.759 -0.718 -6.132
4.825 -0.736 -0.904
0.813 -4.739 -8.750
0.866 -4.738 -3.486
-0.714 -7.239 -4.339
3.187 -3.237 -6.951
3.232 -3.239 -1.717
```



No. 2
Material: Li4MnFe3B4O12
Method: DFT, PBE with a Hubbard U
State: relaxed

Properties
- total DFT energy (no corrections) (eV per cell) = -337.3
- polymorph energy (0 for the lowest one) (kJ/mol of atoms) = 0.1
- M_tot (μB per atom) = 0.708
- SG = P1
- formation energy (kJ/mol of formula units) = -5500

The structure in POSCAR format:
```
Li4MnFe3B4O12
1.0
-3.630 -3.750 -0.281
-0.949 4.692 -2.100
8.512 -5.988 -18.004
Li B O Fe Mn
8 8 24 6 2
Cartesian
2.598 -3.989 -8.368
-0.472 0.154 -8.245
3.827 -0.907 -14.892
-1.732 -2.927 -1.767
6.910 -6.980 -17.390
-0.388 2.095 -5.926
2.504 -5.923 -10.711
3.780 -2.869 -17.227
-1.590 -2.495 -7.320
6.280 -1.767 -15.994
1.255 0.407 -4.100
0.648 -2.017 -9.468
3.264 -3.032 -10.916
4.950 -4.992 -18.493
-0.970 -0.048 -1.975
5.475 -2.572 -13.053
4.987 -1.611 -16.463
-0.862 -1.281 -1.342
3.000 -6.471 -12.589
-0.161 -3.055 -9.936
2.278 -2.819 -11.876
4.152 -6.011 -19.006
-1.948 0.167 -2.945
4.757 -3.702 -13.468
-1.099 -3.784 -7.095
3.199 -6.788 -16.090
1.690 -2.275 -8.576
5.959 -5.295 -17.565
5.008 -1.291 -13.375
-0.117 0.995 -1.601
0.400 -0.714 -9.875
0.763 1.441 -7.550
-1.208 -3.486 -3.646
3.409 -4.380 -15.972
0.795 1.684 -4.430
4.740 -3.677 -18.863
-0.794 -1.390 -7.006
3.376 -4.270 -10.293
0.538 -0.727 -4.494
4.129 -1.998 -10.545
1.235 -1.562 -6.498
-1.399 -0.547 -5.067
2.815 -3.553 -13.992
0.549 -3.938 -11.887
-3.660 -0.940 -2.942
3.443 -1.083 -8.670
7.703 -4.072 -17.689
5.447 -4.603 -15.480
```



No. 3
Material: Li8Mn7FeB8O24
Method: DFT, PBE with a Hubbard U
State: relaxed

Properties
- total DFT energy (no corrections) (eV per cell) = -348.9
- M_tot (μB per atom) = 0.813
- SG = P1
- formation energy (kJ/mol of formula units) = -11505

The structure in POSCAR format:
```
Li8Mn7FeB8O24
1.0
7.961 0.000 0.000
1.170 7.989 0.000
1.546 1.164 8.077
B O Mn Li Fe
8 24 7 8 1
Cartesian
4.900 5.453 0.775
5.780 3.702 7.300
5.075 2.030 4.805
1.045 3.118 3.266
8.297 1.453 0.778
2.384 7.704 7.281
5.580 7.124 3.280
9.652 6.031 4.814
7.108 1.433 1.528
3.885 2.005 5.547
8.028 4.069 3.058
6.972 3.719 6.558
2.097 3.648 7.944
1.908 7.056 3.899
2.224 3.144 2.509
3.711 5.435 1.520
4.013 1.511 0.138
5.371 6.080 4.179
4.819 4.670 7.078
5.865 4.487 0.992
5.298 3.065 3.900
6.048 1.071 5.026
9.382 8.672 7.083
6.765 7.139 2.519
4.623 8.096 3.093
2.648 5.060 5.031
8.460 6.014 5.559
3.562 7.723 6.514
8.595 5.514 0.126
8.816 2.087 4.190
6.659 7.645 7.936
1.297 0.484 0.989
5.520 0.163 0.649
8.358 8.391 3.388
5.146 8.988 7.413
8.553 4.996 7.425
3.802 4.422 3.388
6.877 4.737 4.691
2.131 4.157 0.643
7.678 2.045 5.800
7.751 7.691 6.311
4.277 6.039 5.796
3.185 3.686 6.307
7.496 5.457 1.766
3.010 7.119 2.290
6.392 3.109 2.275
2.930 1.460 1.777
2.287 0.769 4.698
```